{
  "formula": "ErMgAu2",
  "functional": "r²SCAN",
  "state": "relaxed",
  "lattice": [[1.337, -3.993, -2.374], [-3.355, -2.992, -1.778], [-0.673, -0.312, -4.777]],
  "species": ["Er", "Mg", "Au", "Au"],
  "frac_coords": [[0.500, 0.500, 0.500], [0.000, 0.000, 0.000], [0.750, 0.750, 0.750], [0.250, 0.250, 0.250]],
  "crystal_system": "cubic",
  "final_energy_ev_per_cell": -142.60
}


{
  "formula": "ErNi4Au",
  "functional": "r²SCAN",
  "state": "relaxed",
  "lattice": [[3.880, 2.134, -1.997], [2.595, -2.345, -3.371], [-0.147, 1.462, -4.630]],
  "species": ["Er", "Ni", "Ni", "Ni", "Ni", "Au"],
  "frac_coords": [[0.750, 0.750, 0.750], [0.374, 0.374, 0.374], [0.877, 0.374, 0.374], [0.374, 0.877, 0.374], [0.374, 0.374, 0.877], [0.000, 0.000, 0.000]],
  "crystal_system": "cubic",
  "final_energy_ev_per_cell": -134.74
}


{
  "formula": "Er2PdAu",
  "functional": "r²SCAN",
  "state": "relaxed",
  "lattice": [[-1.481, 2.042, 4.248], [-4.117, -1.606, 2.209], [0.297, -2.567, 4.211]],
  "species": ["Er", "Er", "Pd", "Au"],
  "frac_coords": [[0.500, 0.500, 0.500], [0.000, 0.000, 0.000], [0.750, 0.750, 0.750], [0.250, 0.250, 0.250]],
  "crystal_system": "cubic",
  "final_energy_ev_per_cell": -145.19
}


{
  "formula": "Er2RuAu",
  "functional": "r²SCAN",
  "state": "relaxed",
  "lattice": [[-4.522, -1.797, -0.021], [-3.377, 1.944, -2.915], [-1.610, -2.491, -3.858]],
  "species": ["Er", "Er", "Ru", "Au"],
  "frac_coords": [[0.750, 0.750, 0.750], [0.250, 0.250, 0.250], [0.000, 0.000, 0.000], [0.500, 0.500, 0.500]],
  "crystal_system": "cubic",
  "final_energy_ev_per_cell": -146.59
}


{
  "formula": "ErSi2Au2",
  "functional": "r²SCAN",
  "state": "relaxed",
  "lattice": [[0.616, -3.732, -1.870], [0.059, -1.882, 3.776], [-5.367, 2.111, -1.221]],
  "species": ["Er", "Si", "Si", "Au", "Au"],
  "frac_coords": [[0.000, 0.000, 0.000], [0.611, 0.611, 0.223], [0.389, 0.389, 0.777], [0.250, 0.750, 0.500], [0.750, 0.250, 0.500]],
  "crystal_system": "tetragonal",
  "final_energy_ev_per_cell": -155.44
}


{
  "formula": "Er2ZnAu",
  "functional": "r²SCAN",
  "state": "relaxed",
  "lattice": [[2.347, -1.047, 4.269], [-0.179, 3.222, 3.796], [-2.632, -1.106, 4.083]],
  "species": ["Er", "Er", "Zn", "Au"],
  "frac_coords": [[0.500, 0.500, 0.500], [0.000, 0.000, 0.000], [0.750, 0.750, 0.750], [0.250, 0.250, 0.250]],
  "crystal_system": "cubic",
  "final_energy_ev_per_cell": -130.05
}


{
  "formula": "Eu3Au",
  "functional": "r²SCAN",
  "state": "relaxed",
  "lattice": [[-3.735, -5.817, -0.704], [-2.219, 2.291, -7.151], [8.117, -4.722, -4.035]],
  "species": ["Eu", "Eu", "Eu", "Eu", "Eu", "Eu", "Eu", "Eu", "Eu", "Eu", "Eu", "Eu", "Au", "Au", "Au", "Au"],
  "frac_coords": [[0.333, 0.676, 0.060], [0.166, 0.176, 0.440], [0.666, 0.324, 0.560], [0.833, 0.824, 0.940], [0.667, 0.324, 0.940], [0.834, 0.824, 0.560], [0.334, 0.676, 0.440], [0.167, 0.176, 0.060], [0.860, 0.526, 0.250], [0.640, 0.026, 0.250], [0.140, 0.474, 0.750], [0.360, 0.974, 0.750], [0.060, 0.879, 0.250], [0.440, 0.379, 0.250], [0.940, 0.121, 0.750], [0.560, 0.621, 0.750]],
  "crystal_system": "monoclinic",
  "final_energy_ev_per_cell": -672.69
}


{
  "formula": "EuAu",
  "functional": "r²SCAN",
  "state": "relaxed",
  "lattice": [[0.000, 4.720, 0.000], [0.000, 0.000, 5.986], [7.720, 0.000, 0.000]],
  "species": ["Eu", "Eu", "Eu", "Eu", "Au", "Au", "Au", "Au"],
  "frac_coords": [[0.250, 0.360, 0.683], [0.250, 0.140, 0.183], [0.750, 0.640, 0.317], [0.750, 0.860, 0.817], [0.250, 0.856, 0.540], [0.250, 0.644, 0.040], [0.750, 0.144, 0.460], [0.750, 0.356, 0.960]],
  "crystal_system": "orthorhombic",
  "final_energy_ev_per_cell": -363.51
}


{
  "formula": "Eu2Ge3Au",
  "functional": "r²SCAN",
  "state": "relaxed",
  "lattice": [[0.000, 4.454, 7.431], [4.296, 0.000, 7.431], [4.296, 4.454, 0.000]],
  "species": ["Eu", "Eu", "Eu", "Eu", "Ge", "Ge", "Ge", "Ge", "Ge", "Ge", "Au", "Au"],
  "frac_coords": [[0.247, 0.753, 0.247], [0.753, 0.247, 0.753], [0.250, 0.250, 0.250], [0.750, 0.750, 0.750], [0.165, 0.165, 0.835], [0.835, 0.835, 0.165], [0.834, 0.331, 0.166], [0.669, 0.166, 0.331], [0.331, 0.834, 0.669], [0.166, 0.669, 0.834], [0.667, 0.667, 0.333], [0.333, 0.333, 0.667]],
  "crystal_system": "orthorhombic",
  "final_energy_ev_per_cell": -347.57
}


{
  "formula": "EuGeAu",
  "functional": "r²SCAN",
  "state": "relaxed",
  "lattice": [[2.851, -5.133, -0.194], [-5.114, -2.249, 1.810], [1.783, 2.580, -4.965]],
  "species": ["Eu", "Eu", "Ge", "Ge", "Au", "Au"],
  "frac_coords": [[0.204, 0.704, 0.500], [0.631, 0.631, 0.000], [0.646, 0.334, 0.312], [0.021, 0.334, 0.688], [0.784, 0.002, 0.782], [0.219, 0.002, 0.218]],
  "crystal_system": "orthorhombic",
  "final_energy_ev_per_cell": -210.88
}


{
  "formula": "EuHgAu2",
  "functional": "r²SCAN",
  "state": "relaxed",
  "lattice": [[0.000, 3.583, 3.583], [3.583, 0.000, 3.583], [3.583, 3.583, 0.000]],
  "species": ["Eu", "Hg", "Au", "Au"],
  "frac_coords": [[0.250, 0.250, 0.250], [0.750, 0.750, 0.750], [0.500, 0.500, 0.500], [0.000, 0.000, 0.000]],
  "crystal_system": "cubic",
  "final_energy_ev_per_cell": -191.42
}


{
  "formula": "EuIn3Au3",
  "functional": "r²SCAN",
  "state": "relaxed",
  "lattice": [[-1.163, 2.583, 3.583], [3.814, -4.816, 4.710], [7.640, 4.972, -1.103]],
  "species": ["Eu", "Eu", "In", "In", "In", "In", "In", "In", "Au", "Au", "Au", "Au", "Au", "Au"],
  "frac_coords": [[0.000, 0.500, 0.276], [0.500, 0.000, 0.724], [0.500, 0.500, 0.633], [0.000, 0.300, 0.885], [0.000, 0.700, 0.885], [0.500, 0.800, 0.115], [0.000, 0.000, 0.367], [0.500, 0.200, 0.115], [0.000, 0.735, 0.591], [0.500, 0.500, 0.949], [0.000, 0.265, 0.591], [0.500, 0.765, 0.409], [0.000, 0.000, 0.051], [0.500, 0.235, 0.409]],
  "crystal_system": "orthorhombic",
  "final_energy_ev_per_cell": -523.90
}


Q: Number 6 is which compound?
A: Er2ZnAu


What did the ninth record say?
{
  "formula": "Eu2Ge3Au",
  "functional": "r²SCAN",
  "state": "relaxed",
  "lattice": [[0.000, 4.454, 7.431], [4.296, 0.000, 7.431], [4.296, 4.454, 0.000]],
  "species": ["Eu", "Eu", "Eu", "Eu", "Ge", "Ge", "Ge", "Ge", "Ge", "Ge", "Au", "Au"],
  "frac_coords": [[0.247, 0.753, 0.247], [0.753, 0.247, 0.753], [0.250, 0.250, 0.250], [0.750, 0.750, 0.750], [0.165, 0.165, 0.835], [0.835, 0.835, 0.165], [0.834, 0.331, 0.166], [0.669, 0.166, 0.331], [0.331, 0.834, 0.669], [0.166, 0.669, 0.834], [0.667, 0.667, 0.333], [0.333, 0.333, 0.667]],
  "crystal_system": "orthorhombic",
  "final_energy_ev_per_cell": -347.57
}